# 1
VASP calculation (PBE) on Na2MgNb2O6 after structural relaxation.

Cell: 5.3758 5.3758 16.2646 Å, 90.00 90.00 120.00°
Space group R-3 (No. 148, hexagonal axes)
One atom of each set of equivalent atoms:
Na1 0.0000 0.0000 0.1320
Mg1 0.0000 0.0000 0.5000
Nb1 0.0000 0.0000 0.3239
O1 0.0104 0.5968 0.0812

Values from the calculation:
Total energy after the MP2020 corrections: -7.5197 eV per atom
Spin magnetization: 0.0 μB/cell
Formation energy from the elements: -2.60 eV per atom
Energy above the lowest structure with this stoichiometry: 76 meV/atom

***

# 2
VASP calculation (PBE) on La2S3O21 after structural relaxation.

Cell: 10.5434 10.5434 8.1023 Å, 90.00 90.00 120.00°
Space group P6_3/m (No. 176)
One atom of each set of equivalent atoms:
La1 0.0000 0.0000 0.0000
La2 0.3333 0.6667 0.2500
S1 0.0431 0.7754 0.2500
O1 0.0401 0.2774 0.5961
O2 0.0592 0.1758 0.2500
O3 0.1108 0.6057 0.7500
O4 0.1633 0.7339 0.2500
O5 0.1673 0.5900 0.6141

Values from the calculation:
Spin magnetization: 0.0 μB/cell
Formation energy from the elements: -1.16 eV per atom

***

# 3
VASP calculation (PBE) on Mg14CdGa after structural relaxation.

Cell: 6.3055 6.3055 10.3536 Å, 90.00 90.00 120.00°
Space group P-6m2 (No. 187)
One atom of each set of equivalent atoms:
Mg1 0.0000 0.0000 0.2496
Mg2 0.0013 0.5006 0.2501
Mg3 0.3328 0.1664 0.0000
Mg4 0.3332 0.1666 0.5000
Cd1 0.3333 0.6667 0.0000
Ga1 0.3333 0.6667 0.5000

Values from the calculation:
Spin magnetization: 0.0 μB/cell
Formation energy from the elements: -0.04 eV per atom
Energy above the lowest structure with this stoichiometry: 0 meV/atom

***

# 4
VASP calculation (PBE) on MgV4Cu2S8 after structural relaxation.

Cell: 6.9528 6.9528 18.3345 Å, 90.00 90.00 120.00°
Space group R-3m (No. 166, hexagonal axes)
One atom of each set of equivalent atoms:
Mg1 0.0000 0.0000 0.0000
V1 0.0000 0.0000 0.5000
V2 0.0000 0.5000 0.0000
Cu1 0.0000 0.0000 0.1407
S1 0.0000 0.0000 0.2610
S2 0.0160 0.5080 0.2513

Values from the calculation:
Total energy after the MP2020 corrections: -6.3286 eV per atom
Spin magnetization: 23.9 μB/cell
Formation energy from the elements: -1.05 eV per atom
Energy above the lowest structure with this stoichiometry: 0 meV/atom